(1)
! Na14Ta5Ga3Si12O48 (GGA-PBE, relaxed); values from VASP
! * mass density: 4.0 g cm⁻³
! * calculated formation energy: -2908 meV per atom
&SYSTEM
  ibrav = 0, nat = 246, ntyp = 5
/
ATOMIC_SPECIES
Na 22.99 Na.upf
O 16.00 O.upf
Si 28.09 Si.upf
Ga 69.72 Ga.upf
Ta 180.95 Ta.upf
CELL_PARAMETERS angstrom
18.0399 -0.0102 0.0151
-4.5144 7.8103 -0.0023
0.0194 0.0044 22.2526
ATOMIC_POSITIONS crystal
Na 0.4937 0.6262 0.2471
Na 0.6523 0.9595 0.0805
O 0.4000 0.9650 0.6918
Si 0.3123 0.9554 0.4190
O 0.0867 0.6948 0.7559
O 0.5079 0.1843 0.9093
Na 0.1527 0.3465 0.5799
Na 0.3197 0.0118 0.2475
O 0.0674 0.6378 0.3580
O 0.2698 0.8350 0.4771
O 0.2542 0.1419 0.9223
O 0.3514 0.5337 0.5255
O 0.3512 0.1678 0.0251
Si 0.8111 0.9550 0.4187
Na 0.0207 0.6953 0.5799
Na 0.1670 0.6670 0.6608
Si 0.1473 0.2917 0.7494
O 0.6529 0.8268 0.2561
O 0.1774 0.5026 0.0781
O 0.2601 0.6942 0.2558
O 0.4139 0.5296 0.0273
O 0.7487 0.6461 0.5785
Si 0.6460 0.0046 0.2520
O 0.2348 0.2963 0.0271
O 0.7534 0.3610 0.4226
O 0.3433 0.5176 0.2448
O 0.6529 0.4793 0.7554
O 0.0829 0.9644 0.1909
O 0.9142 0.5192 0.7456
O 0.4859 0.8125 0.0890
Ga 0.1663 0.6670 0.5177
O 0.2489 0.8511 0.0787
Si 0.1903 0.3380 0.0850
O 0.3997 0.8349 0.1923
O 0.9144 0.3090 0.2461
O 0.7352 0.2968 0.0274
O 0.0801 0.4598 0.9785
O 0.8453 0.5190 0.2462
O 0.6507 0.8407 0.9787
Na 0.4994 0.9998 0.4935
Na 0.8172 0.6243 0.7471
O 0.6824 0.8653 0.8589
O 0.8517 0.1680 0.0249
O 0.0822 0.9778 0.9094
Si 0.6898 0.3377 0.0850
Si 0.6472 0.2915 0.7493
O 0.0964 0.1634 0.8055
O 0.9856 0.1592 0.5892
O 0.8451 0.1713 0.7457
Ga 0.3343 0.3350 0.1836
O 0.4203 0.0285 0.0894
O 0.5941 0.1594 0.0893
O 0.1527 0.4792 0.7554
Na 0.8273 0.9594 0.5806
Na 0.8352 0.3314 0.3292
Na 0.8331 0.3391 0.8321
O 0.5743 0.5028 0.5783
O 0.5104 0.8366 0.4117
O 0.9374 0.3706 0.6448
O 0.0791 0.6993 0.4789
Ta 0.0019 0.0000 0.8558
O 0.0177 0.2011 0.1912
Na 0.3272 0.9585 0.5798
Ga 0.6661 0.6658 0.0184
Ga 0.1664 0.6662 0.0184
O 0.0940 0.0285 0.5894
Ga 0.3334 0.3333 0.6838
Si 0.4976 0.2879 0.2519
O 0.2542 0.3674 0.4228
Na 0.0040 0.0075 0.4973
O 0.5746 0.6465 0.0786
Na 0.6604 0.0308 0.4145
Na 0.3173 0.6245 0.7469
O 0.2406 0.1709 0.2459
O 0.0941 0.1596 0.0893
O 0.7601 0.8263 0.7553
O 0.9137 0.5295 0.0276
O 0.9000 0.8348 0.1920
Si 0.0242 0.6680 0.4192
Ta 0.6662 0.6656 0.8148
Na 0.3277 0.6961 0.0810
Na 0.6521 0.3449 0.5800
O 0.4371 0.3707 0.6441
Ta 0.0028 0.0043 0.3551
Si 0.1476 0.0029 0.2490
O 0.9855 0.8114 0.0893
Si 0.6645 0.3733 0.4187
O 0.1822 0.8651 0.8589
O 0.0677 0.4966 0.8583
Na 0.3331 0.3391 0.8321
O 0.4159 0.0303 0.8080
O 0.9052 0.9714 0.4092
Si 0.1656 0.9538 0.9199
Na 0.4844 0.2917 0.4146
Si 0.3309 0.6196 0.5847
O 0.9202 0.0282 0.0893
Na 0.1884 0.0103 0.7469
Si 0.6655 0.9537 0.9199
O 0.4152 0.3126 0.2449
Na 0.0202 0.3457 0.0798
Ta 0.6655 0.6654 0.3132
O 0.4143 0.5192 0.7457
O 0.4253 0.3511 0.9223
Na 0.9949 0.6229 0.2463
O 0.0868 0.4783 0.2561
O 0.6843 0.5020 0.3591
Na 0.5199 0.6950 0.5800
O 0.7336 0.1696 0.5253
O 0.9141 0.2979 0.5277
Ta 0.3333 0.3374 0.9783
Ga 0.8332 0.3330 0.6839
O 0.5945 0.0290 0.5893
Ta 0.9999 0.0003 0.1449
Si 0.4788 0.3381 0.5847
O 0.5179 0.8343 0.6910
O 0.4847 0.8067 0.8058
O 0.6488 0.4608 0.4770
O 0.0967 0.0287 0.3056
Si 0.8311 0.0424 0.0842
Na 0.5199 0.3449 0.0804
Ta 0.8332 0.3375 0.9782
Na 0.8162 0.0102 0.2458
Ta 0.5019 0.0000 0.8558
O 0.1769 0.8511 0.5787
O 0.5823 0.9778 0.9094
O 0.9846 0.8067 0.8058
O 0.8155 0.1263 0.1438
O 0.5177 0.2007 0.1923
O 0.8170 0.1430 0.4224
Na 0.3540 0.6790 0.4149
O 0.9160 0.0303 0.8079
O 0.7489 0.8511 0.0787
O 0.7717 0.8360 0.4772
O 0.4202 0.8115 0.5895
O 0.0826 0.1863 0.4096
O 0.7405 0.3097 0.7455
Na 0.0036 0.9998 0.9979
Na 0.6661 0.6664 0.1604
O 0.5815 0.1846 0.4117
Si 0.5220 0.6709 0.4191
Si 0.5230 0.3795 0.9198
Ta 0.8362 0.3339 0.4787
O 0.9202 0.8120 0.5892
O 0.2714 0.7088 0.9768
O 0.0075 0.8309 0.4095
O 0.5802 0.4596 0.9784
O 0.8998 0.9649 0.6918
O 0.2511 0.8647 0.3585
O 0.2475 0.3698 0.1446
Na 0.9947 0.3658 0.7472
O 0.6774 0.5029 0.0781
O 0.8148 0.5036 0.6441
O 0.2490 0.6466 0.5788
O 0.7608 0.6952 0.2560
Si 0.9984 0.7055 0.7498
Ta 0.5000 0.9998 0.6448
O 0.0079 0.1844 0.9094
Na 0.1674 0.6671 0.1606
Na 0.1893 0.3682 0.2457
O 0.7484 0.1258 0.6439
Na 0.3313 0.3291 0.3292
O 0.9253 0.3513 0.9223
Na 0.4946 0.3655 0.7470
O 0.4819 0.1704 0.3103
Ga 0.4993 0.9997 0.3512
O 0.4149 0.7931 0.3103
O 0.3207 0.4945 0.9220
O 0.0747 0.5027 0.5789
Na 0.6665 0.6667 0.6611
Si 0.9790 0.6196 0.0854
Si 0.0230 0.3797 0.9198
O 0.4272 0.4931 0.4226
O 0.3451 0.1713 0.7457
Na 0.8478 0.6665 0.4178
Si 0.3545 0.0033 0.7502
O 0.8511 0.5341 0.5255
Ta 0.0000 0.9997 0.6454
O 0.3148 0.5033 0.6441
Ga 0.8321 0.3318 0.1835
O 0.5867 0.6947 0.7559
O 0.4154 0.2979 0.5256
O 0.2477 0.1245 0.6449
Si 0.3312 0.0426 0.0846
Si 0.3558 0.7073 0.2520
Si 0.8543 0.0032 0.7503
O 0.5827 0.9649 0.1922
Na 0.6860 0.3604 0.2475
Ga 0.6663 0.6661 0.5180
O 0.1502 0.4592 0.4792
O 0.0743 0.6461 0.0790
Na 0.3483 0.0294 0.9195
Si 0.1652 0.3786 0.4197
O 0.4856 0.1599 0.5893
Si 0.8547 0.7056 0.2503
O 0.7542 0.1420 0.9224
Na 0.5035 0.9998 0.9986
O 0.9372 0.5039 0.1450
O 0.7517 0.6386 0.8578
Si 0.6902 0.0424 0.5846
O 0.7411 0.1699 0.2448
O 0.7714 0.7089 0.9768
O 0.9159 0.8018 0.3083
O 0.9044 0.8382 0.9085
O 0.5671 0.6329 0.3593
Ta 0.1664 0.6658 0.8148
O 0.2345 0.1721 0.5278
O 0.7479 0.3722 0.1446
Si 0.9798 0.3382 0.5857
O 0.8208 0.4948 0.9221
Na 0.6881 0.0101 0.7469
O 0.7501 0.8670 0.3585
Si 0.8309 0.6202 0.5850
Ta 0.4999 0.0000 0.1463
O 0.6031 0.0369 0.3104
O 0.5832 0.2018 0.6908
Ta 0.3304 0.3285 0.4784
O 0.1824 0.4994 0.3590
O 0.2601 0.8264 0.7554
Si 0.8101 0.6641 0.9190
O 0.9849 0.1624 0.3060
Si 0.4984 0.7058 0.7497
O 0.4379 0.5053 0.1444
Si 0.9985 0.2911 0.2498
Si 0.3101 0.6639 0.9190
Na 0.1533 0.9602 0.0801
O 0.0177 0.8339 0.6911
O 0.5677 0.4967 0.8583
O 0.5825 0.7050 0.4769
O 0.3145 0.1261 0.1440
O 0.2405 0.3099 0.7456
Ta 0.1676 0.6685 0.3142
O 0.0831 0.2017 0.6909
Na 0.8482 0.0294 0.9194
O 0.4044 0.8381 0.9085
O 0.1523 0.8257 0.2554
O 0.3224 0.1485 0.4226
O 0.5871 0.4791 0.2560
O 0.1504 0.8406 0.9787
O 0.4073 0.9785 0.4116
O 0.2517 0.6385 0.8578
Si 0.4794 0.6210 0.0850
O 0.9258 0.4990 0.4226
Na 0.8270 0.6946 0.0805
O 0.6773 0.8519 0.5780
O 0.5965 0.1635 0.8055
Si 0.1895 0.0408 0.5858



(2)
! Na6Ta3GaSi6O24 (GGA-PBE, relaxed); values from VASP
! * mass density: 4.1 g cm⁻³
! * calculated formation energy: -2979 meV per atom
! * E above lowest polymorph: 0.250 eV per formula unit
&SYSTEM
  ibrav = 0, nat = 80, ntyp = 5
/
ATOMIC_SPECIES
O 16.00 O.upf
Ga 69.72 Ga.upf
Na 22.99 Na.upf
Si 28.09 Si.upf
Ta 180.95 Ta.upf
CELL_PARAMETERS angstrom
13.0260 0.0391 -8.7134
-0.0077 9.0224 -0.0520
-0.1795 -0.0531 9.0060
ATOMIC_POSITIONS crystal
O 0.5384 0.8252 0.5710
O 0.5827 0.6554 0.2462
O 0.4193 0.3506 0.7605
Ga 0.6042 0.7471 0.0681
Ga 0.1042 0.2471 0.0681
Na 0.8092 0.9218 0.2029
Si 0.3518 0.1040 0.2503
O 0.9629 0.6701 0.4276
O 0.9167 0.1410 0.2580
Si 0.0044 0.0441 0.2502
Na 0.7437 0.7489 0.4812
Si 0.1466 0.3958 0.7518
O 0.8538 0.6409 0.0712
Na 0.0023 0.5790 0.7603
O 0.4316 0.4286 0.0774
Si 0.4990 0.4642 0.7545
Na 0.1816 0.0813 0.8058
O 0.1488 0.3666 0.9312
O 0.2590 0.1891 0.2432
O 0.0372 0.6712 0.0646
O 0.4167 0.6410 0.2580
Ta 0.6054 0.2525 0.5644
O 0.6481 0.0767 0.7339
O 0.5777 0.3542 0.7354
Si 0.6466 0.8958 0.7518
O 0.4629 0.1701 0.4276
Na 0.3092 0.4218 0.2029
O 0.2455 0.6790 0.2559
O 0.9619 0.3318 0.9426
O 0.3537 0.9222 0.2596
O 0.1413 0.6501 0.4178
O 0.7428 0.8128 0.7596
Si 0.3568 0.8880 0.7603
O 0.5765 0.5689 0.9269
O 0.7455 0.1790 0.2559
Si 0.8568 0.3880 0.7603
Na 0.2437 0.2489 0.4812
O 0.0827 0.1554 0.2462
O 0.6535 0.9267 0.2432
Si 0.9990 0.9642 0.7545
Na 0.6816 0.5813 0.8058
Na 0.5018 0.9021 0.2383
O 0.9316 0.9286 0.0774
O 0.4295 0.5653 0.5697
O 0.9295 0.0653 0.5697
O 0.1535 0.4267 0.2432
Na 0.7498 0.2504 0.9988
Si 0.5044 0.5441 0.2502
O 0.4619 0.8318 0.9426
O 0.3600 0.8539 0.5821
O 0.7590 0.6891 0.2432
Na 0.2498 0.7504 0.9988
Si 0.6464 0.1053 0.2447
O 0.0384 0.3252 0.5710
O 0.8537 0.4222 0.2596
Na 0.0018 0.4021 0.2383
Ta 0.3933 0.7483 0.4327
Na 0.5023 0.0790 0.7603
O 0.3490 0.0724 0.7611
O 0.9193 0.8506 0.7605
O 0.0765 0.0689 0.9269
Ta 0.8944 0.7518 0.9280
O 0.7521 0.3269 0.7402
Si 0.1464 0.6053 0.2447
Si 0.8518 0.6040 0.2503
Ta 0.1054 0.7525 0.5644
O 0.0777 0.8542 0.7354
O 0.5668 0.4358 0.4287
O 0.5372 0.1712 0.0646
O 0.8490 0.5724 0.7611
O 0.6413 0.1501 0.4178
O 0.6488 0.8666 0.9312
Ta 0.3944 0.2518 0.9280
O 0.2428 0.3128 0.7596
O 0.0668 0.9358 0.4287
O 0.1481 0.5767 0.7339
O 0.2521 0.8269 0.7402
Ta 0.8933 0.2483 0.4327
O 0.8600 0.3539 0.5821
O 0.3538 0.1409 0.0712